1.
! GGA-PBE MnCoSb, relaxed; values from VASP
! Total DFT energy (no corrections): -6.90 eV/atom
&SYSTEM
  ibrav = 0, nat = 24, ntyp = 3
/
ATOMIC_SPECIES
Mn 54.94 Mn.upf
Co 58.93 Co.upf
Sb 121.76 Sb.upf
CELL_PARAMETERS angstrom
0.000 5.818 5.818
5.818 0.000 5.818
5.818 5.818 0.000
ATOMIC_POSITIONS crystal
Mn 0.123 0.123 0.123
Mn 0.123 0.123 0.632
Mn 0.123 0.632 0.123
Mn 0.126 0.625 0.625
Mn 0.625 0.126 0.625
Mn 0.625 0.625 0.126
Mn 0.625 0.625 0.625
Mn 0.632 0.123 0.123
Co 0.000 0.000 0.000
Co 0.007 0.007 0.493
Co 0.007 0.493 0.007
Co 0.007 0.493 0.493
Co 0.250 0.250 0.250
Co 0.493 0.007 0.007
Co 0.493 0.007 0.493
Co 0.493 0.493 0.007
Sb 0.379 0.874 0.874
Sb 0.384 0.384 0.384
Sb 0.384 0.384 0.848
Sb 0.384 0.848 0.384
Sb 0.848 0.384 0.384
Sb 0.874 0.379 0.874
Sb 0.874 0.874 0.379
Sb 0.874 0.874 0.874


2.
! GGA-PBE Mn7CoSb4, relaxed; values from VASP
! Total DFT energy (no corrections): -7.23 eV/atom
&SYSTEM
  ibrav = 0, nat = 12, ntyp = 3
/
ATOMIC_SPECIES
Mn 54.94 Mn.upf
Co 58.93 Co.upf
Sb 121.76 Sb.upf
CELL_PARAMETERS angstrom
3.950 0.000 0.000
0.000 3.950 0.000
0.000 0.000 12.839
ATOMIC_POSITIONS crystal
Mn 0.000 0.000 0.000
Mn 0.000 0.000 0.500
Mn 0.000 0.500 0.136
Mn 0.000 0.500 0.643
Mn 0.500 0.000 0.357
Mn 0.500 0.000 0.864
Mn 0.500 0.500 0.500
Co 0.500 0.500 0.000
Sb 0.000 0.500 0.356
Sb 0.000 0.500 0.856
Sb 0.500 0.000 0.144
Sb 0.500 0.000 0.644


3.
! GGA-PBE MnCoSb, relaxed; values from VASP
! Total DFT energy (no corrections): -6.49 eV/atom
&SYSTEM
  ibrav = 0, nat = 12, ntyp = 3
/
ATOMIC_SPECIES
Mn 54.94 Mn.upf
Co 58.93 Co.upf
Sb 121.76 Sb.upf
CELL_PARAMETERS angstrom
5.974 0.000 0.000
0.000 5.974 0.000
0.000 0.000 5.974
ATOMIC_POSITIONS crystal
Mn 0.000 0.000 0.000
Mn 0.000 0.500 0.500
Mn 0.500 0.000 0.500
Mn 0.500 0.500 0.000
Co 0.000 0.000 0.500
Co 0.000 0.500 0.000
Co 0.500 0.000 0.000
Co 0.500 0.500 0.500
Sb 0.250 0.250 0.750
Sb 0.250 0.750 0.250
Sb 0.750 0.250 0.250
Sb 0.750 0.750 0.750


4.
! GGA-PBE MnCoSb, relaxed; values from VASP
! Total DFT energy (no corrections): -6.86 eV/atom
&SYSTEM
  ibrav = 0, nat = 6, ntyp = 3
/
ATOMIC_SPECIES
Mn 54.94 Mn.upf
Co 58.93 Co.upf
Sb 121.76 Sb.upf
CELL_PARAMETERS angstrom
4.046 0.000 0.000
0.000 4.046 0.000
0.000 0.000 6.012
ATOMIC_POSITIONS crystal
Mn 0.250 0.250 0.242
Mn 0.750 0.750 0.758
Co 0.250 0.750 0.500
Co 0.750 0.250 0.500
Sb 0.250 0.250 0.778
Sb 0.750 0.750 0.222


no.,V (Å³ per atom),DFT formation energy (eV per atom)
1,16.41,-0.162
2,16.70,0.021
3,17.77,0.248
4,16.40,-0.126